U3Ni3Bi4 | meta-GGA r2SCAN | optimized geometry

Results
Formation energy from the elements, eV per atom: -0.14
Final energy, Ha/atom: -1.8787
Calculated volume, Å³/atom: 22.066

Cell and atoms, written as CIF:
```
data_U3Ni3Bi4
_symmetry_space_group_name_H-M 'I -4 3 d'
_symmetry_Int_Tables_number 220
_symmetry_space_group_name_Hall 'I -4bd 2c 3'
_cell_length_a 9.592
_cell_length_b 9.592
_cell_length_c 9.592
_cell_angle_alpha 90.00
_cell_angle_beta 90.00
_cell_angle_gamma 90.00
loop_
_atom_site_label
_atom_site_type_symbol
_atom_site_fract_x
_atom_site_fract_y
_atom_site_fract_z
U1 U 0.000 0.250 0.875
Ni1 Ni 0.000 0.250 0.375
Bi1 Bi 0.083 0.417 0.583
```